# 1
A relaxed Li4Mn3NbO8 crystal, computed with GGA+U.

Its total DFT energy (no corrections) is -6.96 eV/atom. The calculation puts the MP2020-corrected energy at -7.618 eV/atom. The calculation puts the formation energy from the elements at -2.317 eV per atom.

Cell and atoms, written as CIF:
```
data_Li4Mn3NbO8
_cell_length_a 10.429
_cell_length_b 6.207
_cell_length_c 6.066
_cell_angle_alpha 90.00
_cell_angle_beta 123.59
_cell_angle_gamma 90.00
_space_group_name_H-M_alt 'C 1 2/m 1'
_space_group_IT_number 12
loop_
_space_group_symop_operation_xyz
'x,y,z'
'-x,-y,-z'
'-x,y,-z'
'x,-y,z'
'x+1/2,y+1/2,z'
'-x+1/2,-y+1/2,-z'
'-x+1/2,y+1/2,-z'
'x+1/2,-y+1/2,z'
loop_
_atom_site_label
_atom_site_fract_x
_atom_site_fract_y
_atom_site_fract_z
Li1 0.000 0.000 0.000
Li2 0.000 0.500 0.000
Li3 0.250 0.250 0.500
Mn1 0.000 0.000 0.500
Mn2 0.250 0.250 0.000
Nb1 0.000 0.500 0.500
O1 0.002 0.268 0.262
O2 0.236 0.500 0.729
O3 0.243 0.000 0.775
```

---

# 2
A relaxed Li4Mn3NbO8 crystal, computed with GGA+U.

Its total DFT energy (no corrections) is -6.96 eV/atom. The calculation puts the MP2020-corrected energy at -7.614 eV/atom. The calculation puts the formation energy from the elements at -2.313 eV per atom.

Cell and atoms, written as CIF:
```
data_Li4Mn3NbO8
_cell_length_a 6.2211
_cell_length_b 6.2211
_cell_length_c 14.7765
_cell_angle_alpha 90.00
_cell_angle_beta 90.00
_cell_angle_gamma 120.00
_space_group_name_H-M_alt 'R 3 m'
_space_group_IT_number 160
_space_group_name_Hall 'R 3 -2"'
loop_
_atom_site_label
_atom_site_fract_x
_atom_site_fract_y
_atom_site_fract_z
Li1 0.0000 0.0000 0.0000
Li2 0.1704 0.3409 0.3321
Mn1 0.0000 0.5000 0.4963
Nb1 0.0000 0.0000 0.4963
O1 0.0000 0.0000 0.2342
O2 0.0000 0.0000 0.7583
O3 0.0247 0.5123 0.2449
O4 0.1790 0.3580 0.0810
```

---

# 3
A relaxed Li4Mn3NbO8 crystal, computed with GGA+U.

Its total DFT energy (no corrections) is -6.97 eV/atom. The calculation puts the MP2020-corrected energy at -7.631 eV/atom. The calculation puts the formation energy from the elements at -2.330 eV per atom.

Cell and atoms, written as CIF:
```
data_Li4Mn3NbO8
_cell_length_a 6.141
_cell_length_b 6.263
_cell_length_c 8.564
_cell_angle_alpha 90.02
_cell_angle_beta 91.52
_cell_angle_gamma 90.22
_space_group_name_H-M_alt 'P -1'
_space_group_IT_number 2
loop_
_space_group_symop_operation_xyz
'x,y,z'
'-x,-y,-z'
loop_
_atom_site_label
_atom_site_fract_x
_atom_site_fract_y
_atom_site_fract_z
Li1 0.000 0.000 0.000
Li2 0.000 0.500 0.000
Li3 0.248 0.257 0.750
Li4 0.249 0.741 0.750
Li5 0.500 0.000 0.500
Li6 0.500 0.500 0.500
Mn1 0.000 0.000 0.500
Mn2 0.000 0.500 0.500
Mn3 0.252 0.746 0.249
Mn4 0.500 0.000 0.000
Mn5 0.500 0.500 0.000
Nb1 0.251 0.240 0.251
O1 0.012 0.480 0.265
O2 0.016 0.017 0.243
O3 0.217 0.729 0.497
O4 0.236 0.249 0.014
O5 0.265 0.248 0.487
O6 0.282 0.726 0.002
O7 0.486 0.020 0.256
O8 0.489 0.482 0.237
```

---

# 4
A relaxed Li4Mn5NbO12 crystal, computed with GGA+U.

Its total DFT energy (no corrections) is -7.05 eV/atom. The calculation puts the MP2020-corrected energy at -7.799 eV/atom. The calculation puts the formation energy from the elements at -2.212 eV per atom.

Cell and atoms, written as CIF:
```
data_Li4Mn5NbO12
_cell_length_a 5.528
_cell_length_b 8.940
_cell_length_c 21.061
_cell_angle_alpha 90.00
_cell_angle_beta 95.24
_cell_angle_gamma 90.00
_space_group_name_H-M_alt 'C 1 2 1'
_space_group_IT_number 5
loop_
_space_group_symop_operation_xyz
'x,y,z'
'-x,y,-z'
'x+1/2,y+1/2,z'
'-x+1/2,y+1/2,-z'
loop_
_atom_site_label
_atom_site_fract_x
_atom_site_fract_y
_atom_site_fract_z
Li1 0.141 0.000 0.395
Li2 0.141 0.356 0.395
Li3 0.141 0.856 0.896
Li4 0.142 0.500 0.895
Mn1 0.000 0.015 0.000
Mn2 0.000 0.178 0.500
Mn3 0.000 0.343 0.000
Mn4 0.000 0.514 0.500
Mn5 0.000 0.677 0.000
Mn6 0.000 0.842 0.500
Mn7 0.250 0.012 0.750
Mn8 0.250 0.343 0.750
Nb1 0.250 0.178 0.250
O1 0.098 0.178 0.794
O2 0.099 0.677 0.294
O3 0.134 0.008 0.302
O4 0.134 0.347 0.302
O5 0.134 0.847 0.802
O6 0.135 0.508 0.802
O7 0.145 0.496 0.055
O8 0.145 0.861 0.055
O9 0.146 0.361 0.555
O10 0.146 0.994 0.555
O11 0.202 0.178 0.045
O12 0.202 0.678 0.545
```

---

# 5
A relaxed Li4Mn3NbO8 crystal, computed with GGA+U.

Its total DFT energy (no corrections) is -6.97 eV/atom. The calculation puts the MP2020-corrected energy at -7.627 eV/atom. The calculation puts the formation energy from the elements at -2.327 eV per atom.

Cell and atoms, written as CIF:
```
data_Li4Mn3NbO8
_cell_length_a 6.168
_cell_length_b 6.232
_cell_length_c 10.453
_cell_angle_alpha 74.09
_cell_angle_beta 73.07
_cell_angle_gamma 60.55
_space_group_name_H-M_alt 'P 1'
_space_group_IT_number 1
loop_
_space_group_symop_operation_xyz
'x,y,z'
loop_
_atom_site_label
_atom_site_fract_x
_atom_site_fract_y
_atom_site_fract_z
Li1 0.000 0.000 0.000
Li2 0.000 0.020 0.499
Li3 0.025 0.501 0.489
Li4 0.475 0.013 0.010
Li5 0.501 0.495 0.000
Li6 0.501 0.514 0.499
Li7 0.505 0.982 0.511
Li8 0.995 0.535 0.987
Mn1 0.251 0.257 0.250
Mn2 0.251 0.756 0.250
Mn3 0.251 0.758 0.750
Mn4 0.750 0.258 0.750
Mn5 0.751 0.257 0.250
Mn6 0.751 0.758 0.749
Nb1 0.250 0.258 0.750
Nb2 0.751 0.757 0.250
O1 0.095 0.633 0.127
O2 0.132 0.158 0.624
O3 0.138 0.086 0.143
O4 0.149 0.613 0.638
O5 0.351 0.902 0.861
O6 0.364 0.426 0.356
O7 0.368 0.357 0.875
O8 0.407 0.881 0.372
O9 0.591 0.640 0.642
O10 0.600 0.138 0.629
O11 0.610 0.649 0.134
O12 0.642 0.097 0.131
O13 0.860 0.417 0.369
O14 0.891 0.864 0.366
O15 0.901 0.377 0.870
O16 0.910 0.875 0.857
```

---

# 6
A relaxed Li4Mn3NbP4O16 crystal, computed with GGA+U.

Its total DFT energy (no corrections) is -7.19 eV/atom. The calculation puts the MP2020-corrected energy at -7.757 eV/atom. The calculation puts the formation energy from the elements at -2.541 eV per atom.

Cell and atoms, written as CIF:
```
data_Li4Mn3NbP4O16
_cell_length_a 4.790
_cell_length_b 6.231
_cell_length_c 10.667
_cell_angle_alpha 90.00
_cell_angle_beta 90.01
_cell_angle_gamma 90.00
_space_group_name_H-M_alt 'P 1 m 1'
_space_group_IT_number 6
loop_
_space_group_symop_operation_xyz
'x,y,z'
'x,-y,z'
loop_
_atom_site_label
_atom_site_fract_x
_atom_site_fract_y
_atom_site_fract_z
Li1 0.000 0.247 0.000
Li2 0.501 0.251 0.501
Mn1 0.025 0.500 0.280
Mn2 0.473 0.500 0.780
Mn3 0.972 0.000 0.718
Nb1 0.529 0.000 0.222
P1 0.089 0.000 0.410
P2 0.410 0.000 0.905
P3 0.594 0.500 0.088
P4 0.911 0.500 0.591
O1 0.215 0.000 0.544
O2 0.218 0.202 0.341
O3 0.232 0.500 0.596
O4 0.273 0.500 0.096
O5 0.278 0.199 0.836
O6 0.286 0.000 0.040
O7 0.710 0.500 0.952
O8 0.731 0.000 0.901
O9 0.733 0.304 0.157
O10 0.768 0.000 0.411
O11 0.779 0.301 0.660
O12 0.790 0.500 0.456
```

---

# 7
A relaxed Li4Mn3NbV2P6O24 crystal, computed with GGA+U.

Its total DFT energy (no corrections) is -7.32 eV/atom. The calculation puts the MP2020-corrected energy at -7.940 eV/atom. The calculation puts the formation energy from the elements at -2.574 eV per atom.

Cell and atoms, written as CIF:
```
data_Li4Mn3NbV2P6O24
_cell_length_a 8.624
_cell_length_b 8.673
_cell_length_c 8.682
_cell_angle_alpha 63.19
_cell_angle_beta 63.40
_cell_angle_gamma 63.27
_space_group_name_H-M_alt 'P 1'
_space_group_IT_number 1
loop_
_space_group_symop_operation_xyz
'x,y,z'
loop_
_atom_site_label
_atom_site_fract_x
_atom_site_fract_y
_atom_site_fract_z
Li1 0.000 0.000 0.000
Li2 0.104 0.938 0.491
Li3 0.213 0.441 0.348
Li4 0.559 0.649 0.792
Mn1 0.195 0.632 0.984
Mn2 0.505 0.945 0.286
Mn3 0.699 0.143 0.488
Nb1 0.004 0.445 0.795
V1 0.356 0.793 0.137
V2 0.845 0.294 0.638
P1 0.104 0.234 0.205
P2 0.289 0.041 0.692
P3 0.416 0.545 0.582
P4 0.604 0.349 0.086
P5 0.792 0.857 0.895
P6 0.917 0.743 0.394
O1 0.035 0.287 0.042
O2 0.093 0.195 0.731
O3 0.104 0.716 0.238
O4 0.175 0.382 0.175
O5 0.246 0.042 0.213
O6 0.252 0.470 0.642
O7 0.279 0.890 0.883
O8 0.293 0.985 0.546
O9 0.386 0.613 0.731
O10 0.399 0.700 0.403
O11 0.445 0.110 0.636
O12 0.451 0.540 0.067
O13 0.544 0.197 0.113
O14 0.601 0.395 0.561
O15 0.604 0.861 0.037
O16 0.680 0.310 0.231
O17 0.751 0.789 0.344
O18 0.753 0.382 0.886
O19 0.792 0.034 0.732
O20 0.851 0.690 0.827
O21 0.905 0.883 0.463
O22 0.939 0.543 0.544
O23 0.940 0.824 0.970
O24 0.956 0.213 0.393
```

---

# 8
A relaxed Li4Mn3Nb3Sb2O16 crystal, computed with GGA+U.

Its total DFT energy (no corrections) is -7.29 eV/atom. The calculation puts the MP2020-corrected energy at -7.858 eV/atom. The calculation puts the formation energy from the elements at -2.399 eV per atom.

Cell and atoms, written as CIF:
```
data_Li4Mn3Nb3Sb2O16
_cell_length_a 11.098
_cell_length_b 6.160
_cell_length_c 10.542
_cell_angle_alpha 90.00
_cell_angle_beta 90.36
_cell_angle_gamma 90.00
_space_group_name_H-M_alt 'C 1 m 1'
_space_group_IT_number 8
loop_
_space_group_symop_operation_xyz
'x,y,z'
'x,-y,z'
'x+1/2,y+1/2,z'
'x+1/2,-y+1/2,z'
loop_
_atom_site_label
_atom_site_fract_x
_atom_site_fract_y
_atom_site_fract_z
Li1 0.000 0.000 0.000
Li2 0.004 0.000 0.485
Li3 0.156 0.500 0.096
Li4 0.332 0.000 0.586
Mn1 0.337 0.500 0.780
Mn2 0.419 0.246 0.271
Nb1 0.090 0.251 0.769
Nb2 0.177 0.000 0.256
Sb1 0.178 0.500 0.464
Sb2 0.358 0.000 0.990
O1 0.005 0.000 0.182
O2 0.006 0.000 0.670
O3 0.011 0.500 0.671
O4 0.089 0.241 0.384
O5 0.139 0.000 0.880
O6 0.151 0.500 0.881
O7 0.235 0.247 0.678
O8 0.238 0.230 0.157
O9 0.327 0.000 0.372
O10 0.345 0.500 0.379
O11 0.436 0.258 0.893
O12 0.476 0.000 0.142
```

---

# 9
A relaxed Li4Mn3Nb3Sb2O16 crystal, computed with GGA+U.

Its total DFT energy (no corrections) is -7.29 eV/atom. The calculation puts the MP2020-corrected energy at -7.864 eV/atom. The calculation puts the formation energy from the elements at -2.406 eV per atom.

Cell and atoms, written as CIF:
```
data_Li4Mn3Nb3Sb2O16
_cell_length_a 6.157
_cell_length_b 6.325
_cell_length_c 10.553
_cell_angle_alpha 89.74
_cell_angle_beta 89.66
_cell_angle_gamma 61.50
_space_group_name_H-M_alt 'P 1'
_space_group_IT_number 1
loop_
_space_group_symop_operation_xyz
'x,y,z'
loop_
_atom_site_label
_atom_site_fract_x
_atom_site_fract_y
_atom_site_fract_z
Li1 0.000 0.000 0.000
Li2 0.007 0.989 0.483
Li3 0.361 0.295 0.391
Li4 0.684 0.651 0.886
Mn1 0.177 0.660 0.703
Mn2 0.346 0.827 0.214
Mn3 0.842 0.821 0.214
Nb1 0.172 0.167 0.714
Nb2 0.669 0.167 0.715
Nb3 0.830 0.340 0.230
Sb1 0.326 0.343 0.021
Sb2 0.657 0.700 0.495
O1 0.003 0.000 0.814
O2 0.006 0.450 0.333
O3 0.024 0.459 0.805
O4 0.147 0.681 0.105
O5 0.161 0.164 0.102
O6 0.316 0.865 0.588
O7 0.362 0.292 0.604
O8 0.498 0.008 0.813
O9 0.531 0.460 0.805
O10 0.535 0.474 0.327
O11 0.557 0.935 0.342
O12 0.674 0.172 0.102
O13 0.708 0.641 0.116
O14 0.834 0.859 0.593
O15 0.875 0.264 0.604
O16 0.985 0.996 0.302
```

---

# 10
A relaxed Li4Mn3Nb2Sn3O16 crystal, computed with GGA+U.

Its total DFT energy (no corrections) is -7.03 eV/atom. The calculation puts the MP2020-corrected energy at -7.602 eV/atom. The calculation puts the formation energy from the elements at -2.369 eV per atom.

Cell and atoms, written as CIF:
```
data_Li4Mn3Nb2Sn3O16
_cell_length_a 10.908
_cell_length_b 6.230
_cell_length_c 10.007
_cell_angle_alpha 90.00
_cell_angle_beta 90.50
_cell_angle_gamma 90.00
_space_group_name_H-M_alt 'C 1 m 1'
_space_group_IT_number 8
loop_
_space_group_symop_operation_xyz
'x,y,z'
'x,-y,z'
'x+1/2,y+1/2,z'
'x+1/2,-y+1/2,z'
loop_
_atom_site_label
_atom_site_fract_x
_atom_site_fract_y
_atom_site_fract_z
Li1 0.000 0.000 0.000
Li2 0.004 0.000 0.511
Li3 0.172 0.500 0.089
Li4 0.329 0.000 0.592
Mn1 0.082 0.255 0.785
Mn2 0.170 0.000 0.282
Nb1 0.149 0.500 0.515
Nb2 0.324 0.000 0.998
Sn1 0.326 0.500 0.778
Sn2 0.414 0.247 0.280
O1 0.017 0.500 0.635
O2 0.080 0.257 0.404
O3 0.170 0.000 0.914
O4 0.172 0.500 0.889
O5 0.242 0.284 0.640
O6 0.268 0.222 0.146
O7 0.340 0.000 0.393
O8 0.340 0.500 0.396
O9 0.408 0.245 0.906
O10 0.485 0.000 0.156
O11 0.493 0.500 0.694
O12 0.498 0.500 0.183
```

---

# 11
A relaxed Li4Ti3Mn3Nb2O16 crystal, computed with GGA+U.

Its total DFT energy (no corrections) is -7.91 eV/atom. The calculation puts the MP2020-corrected energy at -8.485 eV/atom. The calculation puts the formation energy from the elements at -2.835 eV per atom.

Cell and atoms, written as CIF:
```
data_Li4Ti3Mn3Nb2O16
_cell_length_a 10.686
_cell_length_b 6.053
_cell_length_c 9.927
_cell_angle_alpha 90.00
_cell_angle_beta 91.09
_cell_angle_gamma 90.00
_space_group_name_H-M_alt 'C 1 m 1'
_space_group_IT_number 8
loop_
_space_group_symop_operation_xyz
'x,y,z'
'x,-y,z'
'x+1/2,y+1/2,z'
'x+1/2,-y+1/2,z'
loop_
_atom_site_label
_atom_site_fract_x
_atom_site_fract_y
_atom_site_fract_z
Li1 0.000 0.000 0.000
Li2 0.005 0.000 0.506
Li3 0.180 0.500 0.085
Li4 0.346 0.000 0.587
Ti1 0.329 0.500 0.757
Ti2 0.413 0.249 0.273
Mn1 0.092 0.253 0.787
Mn2 0.174 0.000 0.282
Nb1 0.157 0.500 0.504
Nb2 0.342 0.000 0.995
O1 0.030 0.500 0.635
O2 0.086 0.255 0.401
O3 0.176 0.000 0.921
O4 0.195 0.500 0.884
O5 0.259 0.284 0.641
O6 0.278 0.231 0.154
O7 0.344 0.500 0.387
O8 0.357 0.000 0.384
O9 0.416 0.245 0.904
O10 0.487 0.000 0.159
O11 0.496 0.500 0.693
O12 0.497 0.500 0.188
```

---

# 12
A relaxed Li4Ti3Mn2Nb3O16 crystal, computed with GGA+U.

Its total DFT energy (no corrections) is -8.02 eV/atom. The calculation puts the MP2020-corrected energy at -8.527 eV/atom. The calculation puts the formation energy from the elements at -2.844 eV per atom.

Cell and atoms, written as CIF:
```
data_Li4Ti3Mn2Nb3O16
_cell_length_a 10.589
_cell_length_b 6.028
_cell_length_c 10.130
_cell_angle_alpha 90.00
_cell_angle_beta 90.36
_cell_angle_gamma 90.00
_space_group_name_H-M_alt 'C 1 m 1'
_space_group_IT_number 8
loop_
_space_group_symop_operation_xyz
'x,y,z'
'x,-y,z'
'x+1/2,y+1/2,z'
'x+1/2,-y+1/2,z'
loop_
_atom_site_label
_atom_site_fract_x
_atom_site_fract_y
_atom_site_fract_z
Li1 0.000 0.000 0.000
Li2 0.002 0.000 0.501
Li3 0.175 0.500 0.392
Li4 0.340 0.000 0.899
Ti1 0.343 0.500 0.725
Ti2 0.423 0.247 0.219
Mn1 0.174 0.500 0.004
Mn2 0.335 0.000 0.499
Nb1 0.090 0.271 0.714
Nb2 0.176 0.000 0.218
O1 0.003 0.000 0.819
O2 0.005 0.000 0.320
O3 0.022 0.500 0.851
O4 0.082 0.233 0.109
O5 0.160 0.000 0.602
O6 0.192 0.500 0.600
O7 0.251 0.276 0.828
O8 0.267 0.228 0.331
O9 0.341 0.000 0.109
O10 0.352 0.500 0.113
O11 0.429 0.263 0.610
O12 0.489 0.000 0.327
```

---

Question: Look up the formation energy from the elements of the sixth one.
Answer: -2.541 eV per atom